Material: Na3NiO2
Method: DFT, GGA+U
State: relaxed

```
Na3NiO2
1.0
5.919 0.000 0.000
0.000 8.542 0.000
-3.100 0.000 7.364
Na Ni O
12 4 8
Direct
0.236 0.214 0.311 Na
0.236 0.286 0.811 Na
0.248 0.535 0.500 Na
0.248 0.965 0.000 Na
0.260 0.532 0.125 Na
0.260 0.968 0.625 Na
0.740 0.032 0.375 Na
0.740 0.468 0.875 Na
0.752 0.035 0.000 Na
0.752 0.465 0.500 Na
0.764 0.714 0.189 Na
0.764 0.786 0.689 Na
0.295 0.673 0.828 Ni
0.295 0.827 0.328 Ni
0.705 0.173 0.672 Ni
0.705 0.327 0.172 Ni
0.044 0.540 0.778 O
0.044 0.960 0.278 O
0.463 0.187 0.118 O
0.463 0.313 0.618 O
0.537 0.687 0.382 O
0.537 0.813 0.882 O
0.956 0.040 0.722 O
0.956 0.460 0.222 O
```

Computed properties:
Formation enthalpy at 0 K, eV per atom: -1.19
Crystal system: monoclinic